# 1
! NdSmZn2, relaxed, DFT PBE; values from VASP
! * uncorrected energy: -3.32 eV per atom
! * space-group type: No. 225
! * density: 7.16 g/cm3
! * energy relative to the elements: -321.2 meV/atom
&SYSTEM
  ibrav = 0, nat = 4, ntyp = 3
/
ATOMIC_SPECIES
Nd 144.24 Nd.upf
Sm 150.36 Sm.upf
Zn 65.41 Zn.upf
CELL_PARAMETERS angstrom
0.000 3.667 3.667
3.667 0.000 3.667
3.667 3.667 0.000
ATOMIC_POSITIONS angstrom
Nd 0.000 0.000 0.000
Sm 3.667 3.667 3.667
Zn 1.833 1.833 1.833
Zn 5.500 5.500 5.500

***

# 2
! Ba3Sn2P4, relaxed, DFT PBE; values from VASP
! * uncorrected energy: -4.70 eV per atom
! * space-group type: No. 14
! * density: 4.47 g/cm3
! * energy relative to the elements: -764.3 meV/atom
&SYSTEM
  ibrav = 0, nat = 36, ntyp = 3
/
ATOMIC_SPECIES
Ba 137.33 Ba.upf
Sn 118.71 Sn.upf
P 30.97 P.upf
CELL_PARAMETERS angstrom
7.976 0.000 0.000
0.000 19.564 0.000
-3.089 0.000 7.358
ATOMIC_POSITIONS angstrom
Ba 1.304 3.809 0.371
Ba -0.240 5.973 4.050
Ba 0.168 1.238 3.996
Ba 1.713 8.544 0.317
Ba -0.519 13.469 6.871
Ba 1.026 15.877 3.192
Ba 3.861 3.687 4.166
Ba 5.405 6.095 0.487
Ba 3.174 11.020 7.041
Ba 4.718 18.326 3.362
Ba 5.127 13.591 3.308
Ba 3.583 15.755 6.987
Sn 0.095 9.895 4.082
Sn 1.639 19.451 0.403
Sn 1.536 12.152 3.050
Sn -0.008 17.194 6.729
Sn 4.895 2.370 0.629
Sn 3.350 7.412 4.308
Sn 3.248 0.113 6.956
Sn 4.792 9.669 3.276
P -1.994 10.890 5.232
P -0.450 18.456 1.553
P -0.069 13.319 1.480
P -1.614 16.027 5.159
P 1.013 3.716 5.995
P 2.557 6.066 2.316
P 2.896 1.395 2.055
P 1.352 8.387 5.734
P 3.535 11.177 1.624
P 1.990 18.169 5.303
P 2.330 13.498 5.042
P 3.874 15.848 1.363
P 6.500 3.537 2.199
P 4.956 6.245 5.878
P 5.337 1.108 5.805
P 6.881 8.674 2.126

***

# 3
! Al2O3, relaxed, DFT PBE; values from VASP
! * uncorrected energy: -7.30 eV per atom
! * space-group type: No. 1
! * density: 3.00 g/cm3
! * energy relative to the elements: -3248.8 meV/atom
&SYSTEM
  ibrav = 0, nat = 100, ntyp = 2
/
ATOMIC_SPECIES
Al 26.98 Al.upf
O 16.00 O.upf
CELL_PARAMETERS angstrom
10.070 0.000 0.000
0.566 10.482 0.000
2.442 0.590 10.688
ATOMIC_POSITIONS angstrom
Al 0.000 0.000 0.000
Al 1.018 3.174 3.681
Al 2.615 6.082 9.747
Al 0.613 2.991 0.804
Al 2.075 6.590 5.643
Al 3.264 1.119 7.672
Al 2.663 1.210 4.863
Al 2.649 10.257 1.426
Al 3.549 3.814 6.153
Al 4.822 8.222 10.508
Al 4.183 7.940 7.574
Al 3.297 6.551 2.674
Al 3.492 3.434 2.784
Al 5.540 4.134 9.827
Al 5.218 10.090 5.718
Al 5.150 9.222 3.121
Al 5.762 1.941 6.704
Al 6.675 1.473 9.126
Al 6.945 6.901 8.705
Al 6.420 7.110 5.536
Al 5.286 8.735 0.102
Al 5.853 5.941 2.762
Al 5.781 1.597 2.768
Al 6.622 4.146 5.107
Al 7.979 10.261 4.705
Al 8.780 9.249 7.913
Al 8.687 3.442 7.585
Al 8.107 2.632 3.267
Al 8.221 9.315 1.847
Al 7.771 1.671 0.299
Al 8.226 6.954 0.507
Al 9.200 5.311 5.099
Al 9.387 8.019 5.153
Al 10.221 6.334 8.198
Al 8.938 5.146 2.351
Al 10.318 1.000 8.475
Al 10.654 10.450 3.788
Al 11.396 3.693 8.433
Al 11.722 9.481 6.578
Al 10.835 7.612 2.503
O 1.167 1.351 3.855
O 1.411 9.455 2.528
O 1.859 0.541 6.397
O 2.620 7.986 6.710
O 1.114 1.197 0.821
O 2.173 7.047 3.908
O 2.793 2.981 7.566
O 1.882 3.601 2.126
O 3.863 4.585 10.171
O 3.870 7.379 9.267
O 2.111 6.939 1.407
O 4.399 9.920 10.664
O 2.899 3.100 4.510
O 3.349 5.504 5.940
O 4.576 9.639 7.325
O 4.105 10.217 4.201
O 4.067 1.406 6.009
O 5.037 1.417 8.303
O 4.278 5.019 2.481
O 4.163 1.915 2.422
O 4.349 9.654 1.396
O 5.354 3.640 6.291
O 5.843 7.213 7.243
O 6.314 2.687 10.314
O 6.570 8.044 10.132
O 4.868 7.461 2.616
O 6.564 5.333 9.233
O 5.902 8.629 4.798
O 5.901 5.715 4.528
O 6.217 0.502 5.725
O 7.855 10.195 9.195
O 6.432 2.606 4.123
O 7.386 2.198 7.643
O 6.738 10.289 2.854
O 8.596 7.490 8.324
O 6.947 8.425 0.753
O 8.047 4.350 6.213
O 8.108 6.800 5.290
O 7.078 2.304 1.765
O 7.302 5.916 1.754
O 8.486 9.242 6.174
O 9.227 1.531 9.772
O 8.055 4.411 3.775
O 9.550 4.702 8.502
O 8.826 9.045 3.608
O 8.606 1.039 4.040
O 10.472 9.858 7.858
O 8.570 0.160 0.987
O 10.239 2.505 7.560
O 10.978 7.323 9.495
O 10.397 6.670 6.240
O 9.794 6.383 3.399
O 9.438 8.036 1.311
O 9.597 3.223 2.352
O 11.571 3.211 10.291
O 9.591 5.441 0.725
O 10.832 9.199 5.089
O 10.548 4.206 4.938
O 11.920 5.400 8.304
O 12.063 0.730 8.999

***

# 4
! BaTeS4O9, relaxed, DFT PBE; values from VASP
! * uncorrected energy: -5.44 eV per atom
! * space-group type: No. 14
! * density: 2.83 g/cm3
! * energy relative to the elements: -1126.3 meV/atom
&SYSTEM
  ibrav = 0, nat = 60, ntyp = 4
/
ATOMIC_SPECIES
Ba 137.33 Ba.upf
Te 127.60 Te.upf
S 32.06 S.upf
O 16.00 O.upf
CELL_PARAMETERS angstrom
11.067 0.000 0.000
0.000 5.397 0.000
-4.659 0.000 21.071
ATOMIC_POSITIONS angstrom
Ba -0.289 0.920 8.583
Ba -2.619 1.779 19.119
Ba 9.027 3.619 1.952
Ba 6.697 4.477 12.488
Te 1.179 2.771 14.493
Te 3.509 5.325 3.957
Te 2.899 0.073 17.114
Te 5.229 2.626 6.578
S -0.669 3.442 11.444
S 1.660 4.654 0.909
S 1.668 3.207 6.712
S -0.662 4.889 17.248
S 3.150 3.782 2.157
S 0.821 4.314 12.693
S 3.464 3.933 7.596
S 1.134 4.164 18.131
S 5.274 1.234 2.940
S 2.944 1.465 13.475
S 5.587 1.084 8.378
S 3.258 1.615 18.913
S 7.070 0.508 3.823
S 4.740 2.191 14.359
S 4.748 0.744 20.162
S 7.077 1.955 9.626
O -0.585 0.385 4.770
O -2.915 2.314 15.305
O -1.931 3.406 12.201
O 0.398 4.690 1.666
O -0.022 1.183 4.015
O -2.352 1.516 14.550
O -3.034 3.689 20.866
O -0.705 4.407 10.331
O 2.109 0.589 0.481
O -0.221 2.110 11.016
O 0.638 3.821 7.602
O -1.691 4.275 18.138
O 1.610 3.666 5.329
O -0.720 4.430 15.864
O -0.698 0.965 17.377
O 1.632 1.734 6.841
O 2.861 0.422 10.248
O 0.531 2.276 20.784
O 5.877 3.121 0.287
O 3.547 4.975 10.823
O 4.776 3.663 14.230
O 7.106 4.433 3.694
O 7.128 0.967 5.207
O 4.798 1.732 15.742
O 8.099 1.123 2.933
O 5.770 1.576 13.468
O 6.629 3.288 10.055
O 4.299 4.808 20.590
O 7.113 0.990 10.740
O 9.442 1.708 0.205
O 8.760 3.882 6.521
O 6.430 4.214 17.056
O 6.010 0.707 19.405
O 8.339 1.992 8.869
O 9.323 3.084 5.766
O 6.993 5.013 16.301